# 1
DFT (r²SCAN) results for LiTaIr2 after structural relaxation.

a b c (Å): 6.1236 6.1236 6.1236
angles (deg): 90.00 90.00 90.00
Space group Fm-3m (No. 225)
Inequivalent atoms, fractional coordinates:
1 Li 0.0000 0.0000 0.0000 x4
2 Ta 0.0000 0.0000 0.5000 x4
3 Ir 0.2500 0.2500 0.2500 x8

Summary:
E = -39.624 eV per atom

---

# 2
DFT (r²SCAN) results for LiVIr2 after structural relaxation.

a b c (Å): 5.8916 5.8916 5.8916
angles (deg): 90.00 90.00 90.00
Space group Fm-3m (No. 225)
Inequivalent atoms, fractional coordinates:
1 Li 0.0000 0.0000 0.0000 x4
2 V 0.0000 0.0000 0.5000 x4
3 Ir 0.2500 0.2500 0.2500 x8

Summary:
E = -30.879 eV per atom

---

# 3
DFT (r²SCAN) results for LiY2Ir after structural relaxation.

a b c (Å): 6.9510 6.9510 6.9510
angles (deg): 90.00 90.00 90.00
Space group Fm-3m (No. 225)
Inequivalent atoms, fractional coordinates:
1 Li 0.0000 0.0000 0.0000 x4
2 Y 0.2500 0.2500 0.2500 x8
3 Ir 0.0000 0.0000 0.5000 x4

Summary:
E = -24.454 eV per atom

---

# 4
DFT (r²SCAN) results for LiYb2Ir after structural relaxation.

a b c (Å): 6.7824 6.7824 6.7824
angles (deg): 90.00 90.00 90.00
Space group Fm-3m (No. 225)
Inequivalent atoms, fractional coordinates:
1 Li 0.0000 0.0000 0.0000 x4
2 Yb 0.2500 0.2500 0.2500 x8
3 Ir 0.0000 0.0000 0.5000 x4

Summary:
E = -32.694 eV per atom

---

no.,formation energy (eV/atom),volume (Å³/atom)
1,-0.70,14.352
2,-0.58,12.781
3,-0.61,20.990
4,-0.74,19.500